1.
{
  "formula": "Dy2Te5",
  "functional": "GGA-PBE",
  "state": "relaxed",
  "delta_e_f_ev_per_atom": -1.28,
  "magnetic_moment_mub_per_cell": 0.01,
  "final_energy_ev_per_atom": -4.540,
  "vol_a3_per_fu": 209.97,
  "cell": [[2.1856, -21.9657, 0.0000], [2.1856, 21.9657, 0.0000], [0.0000, 0.0000, 4.3737]],
  "species": ["Dy", "Dy", "Dy", "Dy", "Te", "Te", "Te", "Te", "Te", "Te", "Te", "Te", "Te", "Te"],
  "fractional_positions": [[0.0980, 0.9020, 0.7500], [0.3073, 0.6927, 0.7500], [0.6927, 0.3073, 0.2500], [0.9020, 0.0980, 0.2500], [0.0416, 0.9584, 0.2500], [0.1725, 0.8275, 0.7500], [0.2500, 0.7500, 0.2500], [0.3799, 0.6201, 0.7500], [0.4582, 0.5418, 0.2500], [0.5418, 0.4582, 0.7500], [0.6201, 0.3799, 0.2500], [0.7500, 0.2500, 0.7500], [0.8275, 0.1725, 0.2500], [0.9584, 0.0416, 0.7500]]
}



2.
{
  "formula": "Mg16Al12In",
  "functional": "GGA-PBE",
  "state": "relaxed",
  "delta_e_f_ev_per_atom": -0.02,
  "magnetic_moment_mub_per_cell": 0.00,
  "final_energy_ev_per_atom": -2.553,
  "e_above_lowest_polymorph_mev_per_atom": 0,
  "vol_a3_per_fu": 588.66,
  "cell": [[5.2792, -7.4659, 0.0000], [5.2792, 7.4659, 0.0000], [-5.2254, 0.0000, 7.4676]],
  "species": ["Mg", "Mg", "Mg", "Mg", "Mg", "Mg", "Mg", "Mg", "Mg", "Mg", "Mg", "Mg", "Mg", "Mg", "Mg", "Mg", "Al", "Al", "Al", "Al", "Al", "Al", "Al", "Al", "Al", "Al", "Al", "Al", "In"],
  "fractional_positions": [[0.0000, 0.0000, 0.0000], [0.0010, 0.0010, 0.3459], [0.0030, 0.6005, 0.3171], [0.2889, 0.6825, 0.6834], [0.3152, 0.9981, 0.6002], [0.3207, 0.6041, 0.0023], [0.3465, 0.9979, 0.9945], [0.4015, 0.7151, 0.4001], [0.6005, 0.0030, 0.3171], [0.6041, 0.3207, 0.0023], [0.6597, 0.6597, 0.6635], [0.6825, 0.2889, 0.6834], [0.6877, 0.6877, 0.2884], [0.7151, 0.4015, 0.4001], [0.9981, 0.3152, 0.6002], [0.9979, 0.3465, 0.9945], [0.0011, 0.8151, 0.6332], [0.0032, 0.6337, 0.8166], [0.1789, 0.3662, 0.3582], [0.1795, 0.1795, 0.8175], [0.1891, 0.8206, 0.1866], [0.3662, 0.1789, 0.3582], [0.3682, 0.3682, 0.1790], [0.6337, 0.0032, 0.8166], [0.6399, 0.8226, 0.0071], [0.8151, 0.0011, 0.6332], [0.8206, 0.1891, 0.1866], [0.8226, 0.6399, 0.0071], [0.3915, 0.3915, 0.7068]]
}



3.
{
  "formula": "BaCaLaBiO6",
  "functional": "GGA-PBE",
  "state": "relaxed",
  "delta_e_f_ev_per_atom": -2.76,
  "magnetic_moment_mub_per_cell": 0.00,
  "final_energy_ev_per_atom": -6.597,
  "e_above_lowest_polymorph_mev_per_atom": 14,
  "vol_a3_per_fu": 165.51,
  "cell": [[6.0849, 0.0000, 0.0000], [-0.0160, 6.2219, 0.0000], [-0.0820, -0.0750, 8.7433]],
  "species": ["Ba", "Ba", "Ca", "Ca", "La", "La", "Bi", "Bi", "O", "O", "O", "O", "O", "O", "O", "O", "O", "O", "O", "O"],
  "fractional_positions": [[0.0075, 0.0423, 0.2506], [0.9925, 0.9577, 0.7494], [0.4890, 0.5470, 0.2528], [0.5110, 0.4530, 0.7472], [0.0000, 0.5000, 0.5000], [0.5000, 0.0000, 0.0000], [0.0000, 0.5000, 0.0000], [0.5000, 0.0000, 0.5000], [0.1263, 0.5163, 0.7665], [0.1902, 0.7821, 0.0490], [0.2165, 0.8036, 0.4589], [0.2859, 0.3160, 0.0691], [0.3220, 0.2904, 0.4383], [0.4214, 0.0682, 0.7363], [0.5786, 0.9318, 0.2637], [0.6780, 0.7096, 0.5617], [0.7141, 0.6840, 0.9309], [0.7835, 0.1964, 0.5411], [0.8098, 0.2179, 0.9510], [0.8737, 0.4837, 0.2335]]
}



4.
{
  "formula": "CsSbN2",
  "functional": "GGA-PBE",
  "state": "relaxed",
  "delta_e_f_ev_per_atom": 0.15,
  "magnetic_moment_mub_per_cell": 0.01,
  "final_energy_ev_per_atom": -5.095,
  "vol_a3_per_fu": 84.74,
  "cell": [[6.1332, 0.0000, 0.0000], [0.0000, 12.2914, 0.0000], [0.0000, 0.0000, 17.9843]],
  "species": ["Cs", "Cs", "Cs", "Cs", "Cs", "Cs", "Cs", "Cs", "Cs", "Cs", "Cs", "Cs", "Cs", "Cs", "Cs", "Cs", "Sb", "Sb", "Sb", "Sb", "Sb", "Sb", "Sb", "Sb", "Sb", "Sb", "Sb", "Sb", "Sb", "Sb", "Sb", "Sb", "N", "N", "N", "N", "N", "N", "N", "N", "N", "N", "N", "N", "N", "N", "N", "N", "N", "N", "N", "N", "N", "N", "N", "N", "N", "N", "N", "N", "N", "N", "N", "N"],
  "fractional_positions": [[0.1979, 0.2424, 0.1864], [0.1979, 0.2576, 0.6864], [0.2451, 0.0118, 0.5638], [0.2451, 0.4882, 0.0638], [0.2549, 0.5118, 0.5638], [0.2549, 0.9882, 0.0638], [0.3021, 0.7424, 0.1864], [0.3021, 0.7576, 0.6864], [0.6979, 0.2424, 0.3136], [0.6979, 0.2576, 0.8136], [0.7451, 0.0118, 0.9362], [0.7451, 0.4882, 0.4362], [0.7549, 0.5118, 0.9362], [0.7549, 0.9882, 0.4362], [0.8021, 0.7424, 0.3136], [0.8021, 0.7576, 0.8136], [0.2148, 0.2423, 0.4372], [0.2148, 0.2577, 0.9372], [0.2460, 0.0048, 0.8122], [0.2460, 0.4952, 0.3122], [0.2540, 0.5048, 0.8122], [0.2540, 0.9952, 0.3122], [0.2852, 0.7423, 0.4372], [0.2852, 0.7577, 0.9372], [0.7148, 0.2423, 0.0628], [0.7148, 0.2577, 0.5628], [0.7460, 0.0048, 0.6878], [0.7460, 0.4952, 0.1878], [0.7540, 0.5048, 0.6878], [0.7540, 0.9952, 0.1878], [0.7852, 0.7423, 0.0628], [0.7852, 0.7577, 0.5628], [0.0566, 0.5225, 0.2217], [0.0566, 0.9775, 0.7217], [0.0895, 0.7161, 0.0227], [0.0895, 0.7839, 0.5227], [0.1862, 0.1586, 0.8473], [0.1862, 0.3414, 0.3473], [0.1866, 0.5950, 0.3994], [0.1866, 0.9050, 0.8994], [0.3134, 0.0950, 0.3994], [0.3134, 0.4050, 0.8994], [0.3138, 0.6586, 0.8473], [0.3138, 0.8414, 0.3473], [0.4105, 0.2161, 0.0227], [0.4105, 0.2839, 0.5227], [0.4434, 0.0225, 0.2217], [0.4434, 0.4775, 0.7217], [0.5566, 0.5225, 0.2783], [0.5566, 0.9775, 0.7783], [0.5895, 0.7161, 0.4773], [0.5895, 0.7839, 0.9773], [0.6862, 0.1586, 0.6527], [0.6862, 0.3414, 0.1527], [0.6866, 0.5950, 0.1006], [0.6866, 0.9050, 0.6006], [0.8134, 0.0950, 0.1006], [0.8134, 0.4050, 0.6006], [0.8138, 0.6586, 0.6527], [0.8138, 0.8414, 0.1527], [0.9105, 0.2161, 0.4773], [0.9105, 0.2839, 0.9773], [0.9434, 0.0225, 0.2783], [0.9434, 0.4775, 0.7783]]
}